VASP calculation (PBE) on crystalline BRu at its relaxed geometry.

abc: 8.1534 2.6078 4.5690
angles: 90.00 90.00 90.00
Element x y z (fractional)
B1 0.1513 0.0000 0.2456
B2 0.3487 0.0000 0.2456
B3 0.6513 0.0000 0.7544
B4 0.8487 0.0000 0.7544
Ru1 0.0869 0.0000 0.7476
Ru2 0.4131 0.0000 0.7476
Ru3 0.5869 0.0000 0.2524
Ru4 0.9131 0.0000 0.2524

Summary:
- V: 12.14 Å³/atom
- Space group: Pmma (51)
- ΔH_f (0 K): 158 kJ/mol of formula units
- Size of the total moment: 0.00 μB/f.u.